32
Lattice="-0.133 -0.752 -7.168 7.156 -4.324 0.321 -5.278 -8.660 1.006" Properties=species:S:1:pos:R:3 comment="PBE-GGA Ti5Sb3, relaxed" corrected_energy_ev_per_atom=-7.05 formation_energy_ev_per_atom=-0.563 spacegroup="Pnma (62)" pbc="T T T"
Sb 5.211 -3.547 -0.384
Sb -4.331 -7.473 -2.300
Sb -0.873 -9.563 -2.145
Sb 6.076 -6.262 -3.541
Sb 2.618 -4.172 -3.696
Sb 3.387 -10.872 -5.712
Sb 1.816 -4.953 0.025
Sb -1.642 -2.863 -0.130
Sb 2.530 -8.116 -2.162
Sb -0.071 -8.783 -5.866
Sb -3.466 -10.189 -5.458
Sb -0.785 -5.620 -3.680
Ti 2.749 -7.551 0.580
Ti -1.084 -11.238 -4.566
Ti -2.179 -7.955 -4.078
Ti 2.829 -2.498 -1.276
Ti -2.366 -7.992 -0.395
Ti 0.442 -3.726 -5.539
Ti 3.924 -5.780 -1.764
Ti 1.491 -9.962 -3.884
Ti 1.601 -12.860 -4.446
Ti 4.111 -5.744 -5.447
Ti -1.004 -6.184 -6.422
Ti 0.178 -6.895 -1.420
Ti 4.252 -8.462 -4.301
Ti 0.254 -3.773 -1.957
Ti 0.049 -12.223 -2.183
Ti 0.144 -0.876 -1.396
Ti 1.696 -1.512 -3.658
Ti 1.567 -6.840 -4.421
Ti 1.303 -10.009 -0.302
Ti -2.507 -5.273 -1.540